Entry 1:
# Li6FeO5F GGA+U optimized geometry
# Excess energy over the best structure of this formula in the dataset ... 10 meV/atom
data_Li6FeO5F
_chemical_formula_sum 'Li12 Fe2 O10 F2'
_symmetry_space_group_name_H-M 'P 1'
_symmetry_Int_Tables_number 1
_cell_length_a 5.5306
_cell_length_b 5.6206
_cell_length_c 10.5469
_cell_angle_alpha 91.39
_cell_angle_beta 89.87
_cell_angle_gamma 119.09
loop_
_symmetry_equiv_pos_as_xyz
'x,y,z'
loop_
_atom_site_label
_atom_site_fract_x
_atom_site_fract_y
_atom_site_fract_z
Li1 0.9786 0.3198 0.2376
Li2 0.6567 0.3303 0.0710
Li3 0.6847 0.3255 0.5676
Li4 0.7393 0.7166 0.2360
Li5 0.3367 0.9760 0.2577
Li6 0.3846 0.3813 0.3642
Li7 0.6346 0.9618 0.7477
Li8 0.3368 0.3250 0.7407
Li9 0.3471 0.6655 0.0677
Li10 0.3253 0.6580 0.5745
Li11 0.9941 0.3792 0.8627
Li12 0.9899 0.7233 0.7434
Fe1 0.0086 0.0015 0.9992
Fe2 0.9993 0.9983 0.4992
O1 0.9859 0.0288 0.8287
O2 0.0280 0.0388 0.3294
O3 0.6826 0.9732 0.5546
O4 0.9947 0.7007 0.5616
O5 0.6506 0.3403 0.2661
O6 0.7146 0.6936 0.0486
O7 0.3204 0.3024 0.5442
O8 0.2876 0.6437 0.7650
O9 0.0080 0.3171 0.0436
O10 0.2968 0.9943 0.0734
F1 0.6810 0.3339 0.7663
F2 0.3477 0.6445 0.2669

=====

Entry 2:
# Li9Co7O16 GGA+U optimized geometry
# Excess energy over the best structure of this formula in the dataset ... 87 meV/atom
data_Li9Co7O16
_chemical_formula_sum 'Li9 Co7 O16'
_symmetry_space_group_name_H-M 'P 1'
_symmetry_Int_Tables_number 1
_cell_length_a 2.9959
_cell_length_b 5.0935
_cell_length_c 19.5141
_cell_angle_alpha 91.70
_cell_angle_beta 92.98
_cell_angle_gamma 104.06
loop_
_symmetry_equiv_pos_as_xyz
'x,y,z'
loop_
_atom_site_label
_atom_site_fract_x
_atom_site_fract_y
_atom_site_fract_z
Li1 0.9304 0.1889 0.6862
Li2 0.5652 0.3121 0.8131
Li3 0.1835 0.4369 0.9360
Li4 0.8165 0.5631 0.0640
Li5 0.4348 0.6879 0.1869
Li6 0.0696 0.8111 0.3138
Li7 0.6853 0.9289 0.4375
Li8 0.3147 0.0711 0.5625
Li9 0.0000 0.5000 0.5000
Co1 0.6238 0.6226 0.6200
Co2 0.3762 0.3774 0.3800
Co3 0.2502 0.7498 0.7491
Co4 0.8702 0.8761 0.8734
Co5 0.5000 0.0000 0.0000
Co6 0.1298 0.1239 0.1266
Co7 0.7498 0.2502 0.2509
O1 0.3031 0.8873 0.6585
O2 0.8794 0.0121 0.7836
O3 0.5580 0.1362 0.9062
O4 0.1553 0.2599 0.0348
O5 0.8240 0.3899 0.1592
O6 0.3861 0.5080 0.2868
O7 0.0398 0.6302 0.4037
O8 0.6612 0.7754 0.5411
O9 0.6139 0.4920 0.7132
O10 0.1760 0.6101 0.8408
O11 0.8447 0.7401 0.9652
O12 0.4420 0.8638 0.0938
O13 0.1206 0.9879 0.2164
O14 0.6969 0.1127 0.3415
O15 0.3388 0.2246 0.4589
O16 0.9602 0.3698 0.5963

=====

Entry 3:
# V2Pb2Se2O11 GGA+U optimized geometry
# Electronic total energy ... -213.83 eV for the cell shown
data_V2Pb2Se2O11
_chemical_formula_sum 'V4 Pb4 Se4 O22'
_symmetry_space_group_name_H-M 'P 1'
_symmetry_Int_Tables_number 1
_cell_length_a 6.9944
_cell_length_b 7.3109
_cell_length_c 10.0645
_cell_angle_alpha 96.42
_cell_angle_beta 93.91
_cell_angle_gamma 95.41
loop_
_symmetry_equiv_pos_as_xyz
'x,y,z'
loop_
_atom_site_label
_atom_site_fract_x
_atom_site_fract_y
_atom_site_fract_z
V1 0.6549 0.1611 0.4491
V2 0.3451 0.8389 0.5509
V3 0.3359 0.9425 0.2473
V4 0.6641 0.0575 0.7527
Pb1 0.8213 0.8538 0.1069
Pb2 0.1787 0.1462 0.8931
Pb3 0.1359 0.4523 0.2497
Pb4 0.8641 0.5477 0.7503
Se1 0.6684 0.3386 0.0459
Se2 0.3316 0.6614 0.9541
Se3 0.6587 0.5968 0.3992
Se4 0.3413 0.4032 0.6008
O1 0.8828 0.2485 0.0771
O2 0.1172 0.7515 0.9229
O3 0.7333 0.5292 0.9616
O4 0.2667 0.4708 0.0384
O5 0.5494 0.1802 0.9105
O6 0.4506 0.8198 0.0895
O7 0.4459 0.7004 0.3694
O8 0.5541 0.2996 0.6306
O9 0.7682 0.6046 0.2533
O10 0.2318 0.3954 0.7467
O11 0.5367 0.3701 0.3740
O12 0.4633 0.6299 0.6260
O13 0.8769 0.2659 0.4694
O14 0.1231 0.7341 0.5306
O15 0.6329 0.0245 0.2914
O16 0.3671 0.9755 0.7086
O17 0.1333 0.7835 0.2260
O18 0.8667 0.2165 0.7740
O19 0.2604 0.1233 0.1763
O20 0.7396 0.8767 0.8237
O21 0.3368 0.0242 0.4325
O22 0.6632 0.9758 0.5675

=====

Entry 4:
# Li3VFeP2H2O10 GGA+U optimized geometry
# Electronic total energy ... -122.57 eV for the cell shown
data_Li3VFeP2H2O10
_chemical_formula_sum 'Li3 V1 Fe1 P2 H2 O10'
_symmetry_space_group_name_H-M 'P 1'
_symmetry_Int_Tables_number 1
_cell_length_a 5.3544
_cell_length_b 5.4447
_cell_length_c 7.5330
_cell_angle_alpha 106.16
_cell_angle_beta 108.68
_cell_angle_gamma 95.63
loop_
_symmetry_equiv_pos_as_xyz
'x,y,z'
loop_
_atom_site_label
_atom_site_fract_x
_atom_site_fract_y
_atom_site_fract_z
Li1 0.7648 0.4051 0.8328
Li2 0.2065 0.5683 0.1924
Li3 0.5364 0.8655 0.1503
V1 0.0093 0.0023 0.5069
Fe1 0.9964 0.9980 0.9932
P1 0.6737 0.3732 0.2272
P2 0.3222 0.6251 0.7649
H1 0.3323 0.0803 0.3550
H2 0.6562 0.9441 0.6521
O1 0.8387 0.0535 0.7126
O2 0.7451 0.2061 0.3682
O3 0.3115 0.3360 0.6561
O4 0.3755 0.2610 0.0933
O5 0.8622 0.3492 0.1068
O6 0.1410 0.6517 0.8932
O7 0.6193 0.7376 0.9138
O8 0.6901 0.6682 0.3338
O9 0.2555 0.7823 0.6193
O10 0.1679 0.9436 0.2849

=====

Entry 5:
# CaCo4O8 GGA+U optimized geometry
# Excess energy over the best structure of this formula in the dataset ... 63 meV/atom
data_CaCo4O8
_chemical_formula_sum 'Ca1 Co4 O8'
_symmetry_space_group_name_H-M 'P 1'
_symmetry_Int_Tables_number 1
_cell_length_a 6.4987
_cell_length_b 6.4987
_cell_length_c 8.8208
_cell_angle_alpha 50.55
_cell_angle_beta 50.55
_cell_angle_gamma 25.86
loop_
_symmetry_equiv_pos_as_xyz
'x,y,z'
loop_
_atom_site_label
_atom_site_fract_x
_atom_site_fract_y
_atom_site_fract_z
Ca1 0.5321 0.5321 0.9486
Co1 0.3722 0.3722 0.4381
Co2 0.8505 0.8505 0.7872
Co3 0.1789 0.1789 0.1487
Co4 0.6571 0.6571 0.4980
O1 0.1510 0.1510 0.3732
O2 0.5603 0.5603 0.2165
O3 0.4682 0.4682 0.7200
O4 0.8799 0.8799 0.5612
O5 0.8568 0.8568 0.3078
O6 0.2142 0.2142 0.9024
O7 0.1703 0.1703 0.6338
O8 0.8127 0.8127 0.0337

=====

Entry 6:
# Ca8TiMn7O24 GGA+U optimized geometry
# Excess energy over the best structure of this formula in the dataset ... 0 meV/atom
data_Ca8TiMn7O24
_chemical_formula_sum 'Ca32 Ti4 Mn28 O96'
_symmetry_space_group_name_H-M 'P 1'
_symmetry_Int_Tables_number 1
_cell_length_a 10.8364
_cell_length_b 15.1783
_cell_length_c 10.6920
_cell_angle_alpha 90.00
_cell_angle_beta 90.02
_cell_angle_gamma 90.00
loop_
_symmetry_equiv_pos_as_xyz
'x,y,z'
loop_
_atom_site_label
_atom_site_fract_x
_atom_site_fract_y
_atom_site_fract_z
Ca1 0.0223 0.1250 0.4969
Ca2 0.0197 0.1250 0.9947
Ca3 0.0224 0.6250 0.4957
Ca4 0.0226 0.6250 0.9962
Ca5 0.5231 0.1250 0.4956
Ca6 0.5237 0.1250 0.9955
Ca7 0.5226 0.6250 0.4956
Ca8 0.5225 0.6250 0.9956
Ca9 0.4788 0.3760 0.0042
Ca10 0.4778 0.3748 0.5050
Ca11 0.4788 0.8740 0.0042
Ca12 0.4778 0.8752 0.5050
Ca13 0.9770 0.3756 0.0037
Ca14 0.9773 0.3755 0.5049
Ca15 0.9770 0.8744 0.0037
Ca16 0.9773 0.8745 0.5049
Ca17 0.2287 0.3764 0.2461
Ca18 0.2277 0.3754 0.7449
Ca19 0.2287 0.8736 0.2461
Ca20 0.2277 0.8746 0.7449
Ca21 0.7270 0.3751 0.2457
Ca22 0.7274 0.3748 0.7453
Ca23 0.7270 0.8749 0.2457
Ca24 0.7274 0.8752 0.7453
Ca25 0.2738 0.1250 0.2555
Ca26 0.2726 0.1250 0.7527
Ca27 0.2723 0.6250 0.2538
Ca28 0.2725 0.6250 0.7543
Ca29 0.7694 0.1250 0.2543
Ca30 0.7724 0.1250 0.7551
Ca31 0.7728 0.6250 0.2544
Ca32 0.7724 0.6250 0.7544
Ti1 0.9990 0.9992 0.2499
Ti2 0.2500 0.9994 0.9997
Ti3 0.2500 0.2506 0.9997
Ti4 0.9990 0.2508 0.2499
Mn1 0.0003 0.0003 0.7491
Mn2 0.0005 0.5007 0.2507
Mn3 0.9998 0.4999 0.7500
Mn4 0.5001 0.9996 0.2512
Mn5 0.5013 0.0004 0.7499
Mn6 0.4998 0.5002 0.2501
Mn7 0.5003 0.4999 0.7499
Mn8 0.2512 0.0002 0.5001
Mn9 0.2502 0.5007 0.9990
Mn10 0.2503 0.4999 0.5002
Mn11 0.7489 0.9995 0.0002
Mn12 0.7500 0.0003 0.5012
Mn13 0.7501 0.5001 0.0003
Mn14 0.7499 0.4999 0.5000
Mn15 0.2512 0.2498 0.5001
Mn16 0.2502 0.7493 0.9990
Mn17 0.2503 0.7501 0.5002
Mn18 0.7489 0.2505 0.0002
Mn19 0.7500 0.2497 0.5012
Mn20 0.7501 0.7499 0.0003
Mn21 0.7499 0.7501 0.5000
Mn22 0.0003 0.2497 0.7491
Mn23 0.0005 0.7493 0.2507
Mn24 0.9998 0.7501 0.7500
Mn25 0.5001 0.2504 0.2512
Mn26 0.5013 0.2496 0.7499
Mn27 0.4998 0.7498 0.2501
Mn28 0.5003 0.7501 0.7499
O1 0.1051 0.2697 0.1045
O2 0.1038 0.2700 0.6022
O3 0.1043 0.7706 0.1033
O4 0.1040 0.7703 0.6030
O5 0.6027 0.2704 0.1027
O6 0.6037 0.2703 0.6028
O7 0.6040 0.7702 0.1031
O8 0.6039 0.7702 0.6030
O9 0.3968 0.2294 0.3976
O10 0.3966 0.2308 0.8935
O11 0.3960 0.7298 0.3970
O12 0.3965 0.7293 0.8968
O13 0.8929 0.2307 0.3975
O14 0.8962 0.2300 0.8971
O15 0.8961 0.7294 0.3973
O16 0.8961 0.7298 0.8970
O17 0.1463 0.2308 0.3556
O18 0.1436 0.2305 0.8525
O19 0.1465 0.7294 0.3532
O20 0.1461 0.7294 0.8527
O21 0.6465 0.2297 0.3530
O22 0.6467 0.2295 0.8526
O23 0.6461 0.7297 0.3530
O24 0.6460 0.7297 0.8530
O25 0.3564 0.2693 0.1475
O26 0.3538 0.2701 0.6474
O27 0.3543 0.7703 0.1467
O28 0.3539 0.7702 0.6469
O29 0.8527 0.2694 0.1441
O30 0.8536 0.2704 0.6473
O31 0.8540 0.7705 0.1471
O32 0.8540 0.7703 0.6471
O33 0.3543 0.4797 0.1467
O34 0.3539 0.4798 0.6469
O35 0.3564 0.9807 0.1475
O36 0.3538 0.9799 0.6474
O37 0.8540 0.4795 0.1471
O38 0.8540 0.4797 0.6471
O39 0.8527 0.9806 0.1441
O40 0.8536 0.9796 0.6473
O41 0.1463 0.0192 0.3556
O42 0.1436 0.0195 0.8525
O43 0.1465 0.5206 0.3532
O44 0.1461 0.5206 0.8527
O45 0.6465 0.0203 0.3530
O46 0.6467 0.0205 0.8526
O47 0.6461 0.5203 0.3530
O48 0.6460 0.5203 0.8530
O49 0.3968 0.0206 0.3976
O50 0.3966 0.0192 0.8935
O51 0.3960 0.5202 0.3970
O52 0.3965 0.5207 0.8968
O53 0.8929 0.0193 0.3975
O54 0.8962 0.0200 0.8971
O55 0.8961 0.5206 0.3973
O56 0.8961 0.5202 0.8970
O57 0.1043 0.4794 0.1033
O58 0.1040 0.4797 0.6030
O59 0.1051 0.9803 0.1045
O60 0.1038 0.9800 0.6022
O61 0.6040 0.4798 0.1031
O62 0.6039 0.4798 0.6030
O63 0.6027 0.9796 0.1027
O64 0.6037 0.9797 0.6028
O65 0.0083 0.3773 0.2871
O66 0.0100 0.3749 0.7889
O67 0.0083 0.8727 0.2871
O68 0.0100 0.8751 0.7889
O69 0.5100 0.3753 0.2897
O70 0.5096 0.3748 0.7894
O71 0.5100 0.8747 0.2897
O72 0.5096 0.8752 0.7894
O73 0.4900 0.1250 0.2111
O74 0.4903 0.1250 0.7102
O75 0.4903 0.6250 0.2108
O76 0.4902 0.6250 0.7108
O77 0.9920 0.1250 0.2131
O78 0.9894 0.1250 0.7100
O79 0.9902 0.6250 0.2105
O80 0.9903 0.6250 0.7107
O81 0.2410 0.1250 0.0368
O82 0.2404 0.1250 0.5394
O83 0.2404 0.6250 0.0395
O84 0.2403 0.6250 0.5393
O85 0.7405 0.1250 0.0395
O86 0.7395 0.1250 0.5403
O87 0.7402 0.6250 0.0392
O88 0.7403 0.6250 0.5392
O89 0.2596 0.3748 0.4607
O90 0.2589 0.3773 0.9630
O91 0.2596 0.8752 0.4607
O92 0.2589 0.8727 0.9630
O93 0.7600 0.3749 0.4609
O94 0.7594 0.3752 0.9605
O95 0.7600 0.8751 0.4609
O96 0.7594 0.8748 0.9605

=====

Entry 7:
# KCrPO4F GGA+U optimized geometry
# Electronic total energy ... -438.65 eV for the cell shown
data_KCrPO4F
_chemical_formula_sum 'K8 Cr8 P8 O32 F8'
_symmetry_space_group_name_H-M 'P 1'
_symmetry_Int_Tables_number 1
_cell_length_a 6.4313
_cell_length_b 10.7182
_cell_length_c 12.9503
_cell_angle_alpha 90.00
_cell_angle_beta 90.00
_cell_angle_gamma 90.00
loop_
_symmetry_equiv_pos_as_xyz
'x,y,z'
loop_
_atom_site_label
_atom_site_fract_x
_atom_site_fract_y
_atom_site_fract_z
K1 0.2024 0.6917 0.3958
K2 0.7976 0.1917 0.6042
K3 0.2976 0.6917 0.8958
K4 0.7024 0.1917 0.1042
K5 0.7763 0.9472 0.3808
K6 0.2237 0.4472 0.6192
K7 0.7237 0.9472 0.8808
K8 0.2763 0.4472 0.1192
Cr1 0.9990 0.7482 0.1151
Cr2 0.0010 0.2482 0.8849
Cr3 0.5010 0.7482 0.6151
Cr4 0.4990 0.2482 0.3849
Cr5 0.7521 0.5001 0.2532
Cr6 0.2479 0.0001 0.7468
Cr7 0.7479 0.5001 0.7532
Cr8 0.2521 0.0001 0.2468
P1 0.6704 0.4976 0.5009
P2 0.3296 0.9976 0.4991
P3 0.8296 0.4976 0.0009
P4 0.1704 0.9976 0.9991
P5 0.5025 0.7481 0.1816
P6 0.4975 0.2481 0.8184
P7 0.9975 0.7481 0.6816
P8 0.0025 0.2481 0.3184
O1 0.0326 0.8786 0.0102
O2 0.3083 0.2745 0.8885
O3 0.8083 0.7745 0.6115
O4 0.1917 0.2745 0.3885
O5 0.3109 0.7190 0.1122
O6 0.6891 0.2190 0.8878
O7 0.1891 0.7190 0.6122
O8 0.8109 0.2190 0.3878
O9 0.5150 0.6078 0.5157
O10 0.4850 0.1078 0.4843
O11 0.9850 0.6078 0.0157
O12 0.0150 0.1078 0.9843
O13 0.5326 0.3786 0.4898
O14 0.4674 0.8786 0.5102
O15 0.9674 0.3786 0.9898
O16 0.6917 0.7745 0.1115
O17 0.8107 0.5190 0.4057
O18 0.1893 0.0190 0.5943
O19 0.6893 0.5190 0.9057
O20 0.4565 0.8606 0.2544
O21 0.8077 0.4804 0.5986
O22 0.1923 0.9804 0.4014
O23 0.6923 0.4804 0.0986
O24 0.3077 0.9804 0.9014
O25 0.0401 0.1350 0.2448
O26 0.9599 0.6350 0.7552
O27 0.4599 0.1350 0.7448
O28 0.5401 0.6350 0.2552
O29 0.9565 0.3606 0.2456
O30 0.0435 0.8606 0.7544
O31 0.5435 0.3606 0.7456
O32 0.3107 0.0190 0.0943
F1 0.0278 0.8745 0.2277
F2 0.9722 0.3745 0.7723
F3 0.4722 0.8745 0.7277
F4 0.5278 0.3745 0.2723
F5 0.4794 0.1212 0.2711
F6 0.5206 0.6212 0.7289
F7 0.0206 0.1212 0.7711
F8 0.9794 0.6212 0.2289

=====

Entry 8:
# Li2Fe3F8 GGA+U optimized geometry
# Excess energy over the best structure of this formula in the dataset ... 87 meV/atom
data_Li2Fe3F8
_chemical_formula_sum 'Li4 Fe6 F16'
_symmetry_space_group_name_H-M 'P 1'
_symmetry_Int_Tables_number 1
_cell_length_a 5.5425
_cell_length_b 6.2281
_cell_length_c 9.7519
_cell_angle_alpha 74.59
_cell_angle_beta 85.46
_cell_angle_gamma 88.72
loop_
_symmetry_equiv_pos_as_xyz
'x,y,z'
loop_
_atom_site_label
_atom_site_fract_x
_atom_site_fract_y
_atom_site_fract_z
Li1 0.2968 0.2134 0.8355
Li2 0.7973 0.9258 0.8346
Li3 0.2027 0.0742 0.1654
Li4 0.7032 0.7866 0.1645
Fe1 0.2423 0.8639 0.5360
Fe2 0.7440 0.6066 0.5322
Fe3 0.2560 0.3934 0.4678
Fe4 0.7577 0.1361 0.4640
Fe5 0.2486 0.6438 0.9992
Fe6 0.7514 0.3562 0.0008
F1 0.0921 0.4305 0.8849
F2 0.6060 0.6618 0.8895
F3 0.1335 0.9315 0.8606
F4 0.6251 0.1780 0.8624
F5 0.4290 0.1128 0.5912
F6 0.9257 0.3121 0.5943
F7 0.3956 0.5499 0.6204
F8 0.8923 0.8503 0.6174
F9 0.1077 0.1497 0.3826
F10 0.6044 0.4501 0.3796
F11 0.0743 0.6879 0.4057
F12 0.5710 0.8872 0.4088
F13 0.3749 0.8220 0.1376
F14 0.8665 0.0685 0.1394
F15 0.3940 0.3382 0.1105
F16 0.9079 0.5695 0.1151

=====

What did the first record say?
# Li6FeO5F GGA+U optimized geometry
# Excess energy over the best structure of this formula in the dataset ... 10 meV/atom
data_Li6FeO5F
_chemical_formula_sum 'Li12 Fe2 O10 F2'
_symmetry_space_group_name_H-M 'P 1'
_symmetry_Int_Tables_number 1
_cell_length_a 5.5306
_cell_length_b 5.6206
_cell_length_c 10.5469
_cell_angle_alpha 91.39
_cell_angle_beta 89.87
_cell_angle_gamma 119.09
loop_
_symmetry_equiv_pos_as_xyz
'x,y,z'
loop_
_atom_site_label
_atom_site_fract_x
_atom_site_fract_y
_atom_site_fract_z
Li1 0.9786 0.3198 0.2376
Li2 0.6567 0.3303 0.0710
Li3 0.6847 0.3255 0.5676
Li4 0.7393 0.7166 0.2360
Li5 0.3367 0.9760 0.2577
Li6 0.3846 0.3813 0.3642
Li7 0.6346 0.9618 0.7477
Li8 0.3368 0.3250 0.7407
Li9 0.3471 0.6655 0.0677
Li10 0.3253 0.6580 0.5745
Li11 0.9941 0.3792 0.8627
Li12 0.9899 0.7233 0.7434
Fe1 0.0086 0.0015 0.9992
Fe2 0.9993 0.9983 0.4992
O1 0.9859 0.0288 0.8287
O2 0.0280 0.0388 0.3294
O3 0.6826 0.9732 0.5546
O4 0.9947 0.7007 0.5616
O5 0.6506 0.3403 0.2661
O6 0.7146 0.6936 0.0486
O7 0.3204 0.3024 0.5442
O8 0.2876 0.6437 0.7650
O9 0.0080 0.3171 0.0436
O10 0.2968 0.9943 0.0734
F1 0.6810 0.3339 0.7663
F2 0.3477 0.6445 0.2669